(1)
Below is a geometry-optimized Li2Pr5Sn7 structure, with properties calculated at the PBE level.

Cell: 6.2997 13.9637 17.6043 Å, 90.00 90.00 90.00°
Space group P2_12_12_1 (No. 19)
Inequivalent atoms, fractional coordinates:
Li: 0.0834 0.2316 0.4801 [4 per cell]
Li: 0.1222 0.2317 0.7704 [4 per cell]
Pr: 0.1361 0.5023 0.0171 [4 per cell]
Pr: 0.1371 0.1768 0.2839 [4 per cell]
Pr: 0.1392 0.1810 0.9579 [4 per cell]
Pr: 0.1417 0.5035 0.7370 [4 per cell]
Pr: 0.1479 0.9251 0.1226 [4 per cell]
Sn: 0.0972 0.8783 0.6212 [4 per cell]
Sn: 0.1134 0.6271 0.3790 [4 per cell]
Sn: 0.1331 0.6528 0.8789 [4 per cell]
Sn: 0.1367 0.9381 0.9336 [4 per cell]
Sn: 0.1501 0.9438 0.3120 [4 per cell]
Sn: 0.1704 0.3116 0.1228 [4 per cell]
Sn: 0.1958 0.3103 0.6274 [4 per cell]

Computed properties:
total DFT energy (no corrections)	-4.682	eV/atom
formation enthalpy at 0 K	-67.2	kJ per mole of atoms


(2)
Below is a geometry-optimized LiPrZn2 structure, with properties calculated at the PBE level.

Cell: 6.9595 6.9595 6.9595 Å, 90.00 90.00 90.00°
Space group Fm-3m (No. 225)
Inequivalent atoms, fractional coordinates:
Li: 0.0000 0.0000 0.0000 [4 per cell]
Pr: 0.0000 0.0000 0.5000 [4 per cell]
Zn: 0.2500 0.2500 0.2500 [8 per cell]

Computed properties:
total DFT energy (no corrections)	-2.566	eV/atom
formation enthalpy at 0 K	-25.4	kJ per mole of atoms


(3)
Below is a geometry-optimized LiPt7 structure, with properties calculated at the PBE level.

Cell: 7.8687 7.8687 7.8687 Å, 90.00 90.00 90.00°
Space group Fm-3m (No. 225)
Inequivalent atoms, fractional coordinates:
Li: 0.0000 0.0000 0.0000 [4 per cell]
Pt: 0.0000 0.0000 0.5000 [4 per cell]
Pt: 0.0000 0.2500 0.2500 [24 per cell]

Computed properties:
total DFT energy (no corrections)	-5.772	eV/atom
formation enthalpy at 0 K	-21.4	kJ per mole of atoms


(4)
Below is a geometry-optimized Li3Pt structure, with properties calculated at the PBE level.

Cell: 6.0825 6.0825 6.0825 Å, 90.00 90.00 90.00°
Space group Fm-3m (No. 225)
Inequivalent atoms, fractional coordinates:
Li: 0.0000 0.0000 0.0000 [4 per cell]
Li: 0.2500 0.2500 0.2500 [8 per cell]
Pt: 0.0000 0.0000 0.5000 [4 per cell]

Computed properties:
total DFT energy (no corrections)	-3.367	eV/atom
ΔE to the lowest computed polymorph	0.000	eV/atom
formation enthalpy at 0 K	-40.3	kJ per mole of atoms


(5)
Below is a geometry-optimized Li3Pt structure, with properties calculated at the PBE level.

Cell: 3.9286 3.9286 7.2806 Å, 90.00 90.00 90.00°
Space group I4/mmm (No. 139)
Inequivalent atoms, fractional coordinates:
Li: 0.0000 0.0000 0.0000 [2 per cell]
Li: 0.0000 0.5000 0.2500 [4 per cell]
Pt: 0.0000 0.0000 0.5000 [2 per cell]

Computed properties:
total DFT energy (no corrections)	-3.363	eV/atom
ΔE to the lowest computed polymorph	0.004	eV/atom
formation enthalpy at 0 K	-39.9	kJ per mole of atoms


(6)
Below is a geometry-optimized LiSc2Pt structure, with properties calculated at the PBE level.

Cell: 6.6144 6.6144 6.6144 Å, 90.00 90.00 90.00°
Space group Fm-3m (No. 225)
Inequivalent atoms, fractional coordinates:
Li: 0.0000 0.0000 0.0000 [4 per cell]
Sc: 0.2500 0.2500 0.2500 [8 per cell]
Pt: 0.0000 0.0000 0.5000 [4 per cell]

Computed properties:
total DFT energy (no corrections)	-5.896	eV/atom
formation enthalpy at 0 K	-70.8	kJ per mole of atoms


(7)
Below is a geometry-optimized LiThPt2 structure, with properties calculated at the PBE level.

Cell: 6.8570 6.8570 6.8570 Å, 90.00 90.00 90.00°
Space group Fm-3m (No. 225)
Inequivalent atoms, fractional coordinates:
Li: 0.0000 0.0000 0.0000 [4 per cell]
Th: 0.0000 0.0000 0.5000 [4 per cell]
Pt: 0.2500 0.2500 0.2500 [8 per cell]

Computed properties:
total DFT energy (no corrections)	-6.282	eV/atom
formation enthalpy at 0 K	-88.3	kJ per mole of atoms


(8)
Below is a geometry-optimized Rb2LiTaS4 structure, with properties calculated at the PBE level.

Cell: 7.2043 11.5663 12.0614 Å, 71.53 87.61 83.52°
Space group P-1 (No. 2)
Inequivalent atoms, fractional coordinates:
Rb: 0.1835 0.0969 0.2495 [2 per cell]
Rb: 0.2353 0.6235 0.7232 [2 per cell]
Rb: 0.2511 0.1548 0.8575 [2 per cell]
Rb: 0.2512 0.6505 0.3495 [2 per cell]
Li: 0.2806 0.4784 0.0716 [2 per cell]
Li: 0.3242 0.9888 0.5853 [2 per cell]
Ta: 0.2766 0.2725 0.4854 [2 per cell]
Ta: 0.2838 0.7692 0.9855 [2 per cell]
S: 0.0351 0.6605 0.9943 [2 per cell]
S: 0.0475 0.1445 0.5311 [2 per cell]
S: 0.2333 0.8942 0.0989 [2 per cell]
S: 0.2480 0.3998 0.5968 [2 per cell]
S: 0.2627 0.3788 0.2901 [2 per cell]
S: 0.3304 0.8822 0.7951 [2 per cell]
S: 0.4473 0.8531 0.4683 [2 per cell]
S: 0.4670 0.3731 0.9408 [2 per cell]

Computed properties:
total DFT energy (no corrections)	-5.298	eV/atom
formation enthalpy at 0 K	-146.2	kJ per mole of atoms


(9)
Below is a geometry-optimized Rb2LiVS4 structure, with properties calculated at the PBE level.

Cell: 5.8934 13.4436 23.6803 Å, 90.00 90.00 90.00°
Space group Fddd (No. 70, origin choice 2)
Inequivalent atoms, fractional coordinates:
Rb: 0.1250 0.1250 0.3033 [16 per cell]
Li: 0.1250 0.1250 0.6250 [8 per cell]
V: 0.1250 0.1250 0.1250 [8 per cell]
S: 0.0892 0.2819 0.4271 [32 per cell]

Computed properties:
total DFT energy (no corrections)	-4.869	eV/atom
formation enthalpy at 0 K	-138.3	kJ per mole of atoms


(10)
Below is a geometry-optimized Li3Re structure, with properties calculated at the PBE level.

Cell: 5.4151 5.4151 4.5172 Å, 90.00 90.00 120.00°
Space group P6_3/mmc (No. 194)
Inequivalent atoms, fractional coordinates:
Li: 0.1696 0.3392 0.2500 [6 per cell]
Re: 0.3333 0.6667 0.7500 [2 per cell]

Computed properties:
total DFT energy (no corrections)	-3.707	eV/atom
formation enthalpy at 0 K	80.7	kJ per mole of atoms


(11)
Below is a geometry-optimized Li4Re6S11 structure, with properties calculated at the PBE level.

Cell: 9.6613 14.2038 11.9028 Å, 90.00 90.00 90.00°
Space group Pccn (No. 56)
Inequivalent atoms, fractional coordinates:
Li: 0.0218 0.2211 0.1437 [8 per cell]
Li: 0.1680 0.6557 0.6478 [8 per cell]
Re: 0.0706 0.5501 0.1321 [8 per cell]
Re: 0.1083 0.1081 0.5218 [8 per cell]
Re: 0.1459 0.5533 0.9178 [8 per cell]
S: 0.0280 0.1009 0.7185 [8 per cell]
S: 0.0987 0.6964 0.0281 [8 per cell]
S: 0.1648 0.0967 0.3272 [8 per cell]
S: 0.1679 0.6258 0.3016 [8 per cell]
S: 0.2016 0.0040 0.0648 [8 per cell]
S: 0.2500 0.2500 0.0750 [4 per cell]

Computed properties:
total DFT energy (no corrections)	-6.819	eV/atom
ΔE to the lowest computed polymorph	0.024	eV/atom
formation enthalpy at 0 K	-96.2	kJ per mole of atoms


(12)
Below is a geometry-optimized Li4Re6S11 structure, with properties calculated at the PBE level.

Cell: 9.6601 13.7611 11.9881 Å, 90.00 90.00 90.00°
Space group Pccn (No. 56)
Inequivalent atoms, fractional coordinates:
Li: 0.0667 0.1444 0.1319 [8 per cell]
Li: 0.1429 0.6858 0.6884 [8 per cell]
Re: 0.0735 0.5559 0.1280 [8 per cell]
Re: 0.1093 0.1098 0.5231 [8 per cell]
Re: 0.1424 0.5552 0.9141 [8 per cell]
S: 0.0394 0.0990 0.7171 [8 per cell]
S: 0.0944 0.7046 0.0180 [8 per cell]
S: 0.1632 0.1017 0.3280 [8 per cell]
S: 0.1668 0.6335 0.2994 [8 per cell]
S: 0.1991 0.5059 0.5599 [8 per cell]
S: 0.2500 0.2500 0.0805 [4 per cell]

Computed properties:
total DFT energy (no corrections)	-6.843	eV/atom
ΔE to the lowest computed polymorph	0.000	eV/atom
formation enthalpy at 0 K	-98.4	kJ per mole of atoms


Q: The highest total DFT energy (no corrections) belongs to which entry?
A: LiPrZn2